1.
Computed, not measured: an optimized crystal structure of V2PH8N2O8 at the PBE+U level of DFT.

a b c (Å): 5.7560 8.7206 8.7312
angles (deg): 90.00 90.30 90.40
With the nearest neighbours (Å) after each atom.
Space group P1 (No. 1)
One atom of each set of equivalent atoms:
V  0.0000  0.0000  0.0000  4 O 1.68-1.84
V  0.0000  0.4992  0.2429  4 O 1.68-1.84
V  0.9953  0.6243  0.8627  1 O 1.63
V  0.9990  0.1239  0.3805  1 O 1.63
P  0.0072  0.2644  0.7359  4 O 1.52-1.60
P  0.0072  0.7630  0.5078  4 O 1.52-1.60
H  0.4181  0.2837  0.9359  1 N 1.05
H  0.4182  0.3834  0.6155  1 N 1.06
H  0.4176  0.8858  0.6232  1 N 1.06
H  0.4194  0.5612  0.5285  1 N 1.04
H  0.4230  0.6964  0.2173  1 N 1.04
H  0.4240  0.9724  0.8006  1 N 1.04
H  0.4282  0.3704  0.1139  1 N 1.05
H  0.4278  0.8744  0.1312  1 N 1.05
H  0.5491  0.4104  0.4428  1 N 1.03
H  0.5527  0.1974  0.0863  1 N 1.03
H  0.5537  0.0590  0.6516  1 N 1.03
H  0.5575  0.8454  0.3043  1 N 1.03
H  0.6672  0.4862  0.6018  1 N 1.03
H  0.6676  0.8980  0.7254  1 N 1.03
H  0.6695  0.3568  0.0083  1 N 1.03
H  0.6701  0.7693  0.1434  1 N 1.03
N  0.5129  0.4607  0.5462  4 H 1.03-1.06
N  0.5155  0.9547  0.7002  4 H 1.03-1.06
N  0.5165  0.3009  0.0357  4 H 1.03-1.05
N  0.5192  0.7963  0.2002  4 H 1.03-1.05
O  0.2707  0.2655  0.7435  1 P 1.52
O  0.2707  0.7578  0.5082  1 P 1.52
O  0.2782  0.6272  0.8682  1 V 1.63
O  0.2826  0.1270  0.3751  1 V 1.63
O  0.2909  0.4972  0.2353  1 V 1.68, 1 H 1.73
O  0.2908  0.9920  0.0033  1 V 1.68, 1 H 1.71
O  0.8825  0.8244  0.9447  1 V 1.74
O  0.8840  0.5425  0.0636  1 V 1.74
O  0.8868  0.3250  0.3007  1 V 1.73
O  0.8880  0.0460  0.1776  1 V 1.73
O  0.8939  0.7122  0.6605  1 P 1.55
O  0.8951  0.4209  0.7754  1 P 1.55
O  0.9010  0.2088  0.5829  1 P 1.54
O  0.9016  0.9193  0.4632  1 P 1.55
O  0.9080  0.1472  0.8618  1 P 1.60
O  0.9081  0.6451  0.3820  1 P 1.60

Results
total energy after the MP2020 corrections = -139.9 eV/f.u.

=====

2.
Computed, not measured: an optimized crystal structure of VP2H8N2O8 at the PBE+U level of DFT.

a b c (Å): 8.4257 8.4257 5.8112
angles (deg): 90.00 90.00 90.00
With the nearest neighbours (Å) after each atom.
Space group P4bm (No. 100)
One atom of each set of equivalent atoms:
V  0.0000  0.0000  0.0000  1 O 1.64
P  0.1282  0.3718  0.0150  4 O 1.49-1.65
H  0.0981  0.5981  0.5974  1 N 1.02
H  0.1084  0.7491  0.4122  1 N 1.03
H  0.2373  0.7373  0.6338  1 N 1.03
N  0.1738  0.6738  0.5136  4 H 1.02-1.03
O  0.0000  0.0000  0.2822  1 V 1.64
O  0.0000  0.5000  0.9074  2 P 1.65
O  0.0759  0.2151  0.8995  1 P 1.55
O  0.1269  0.3731  0.2720  1 P 1.49

Results
total energy after the MP2020 corrections = -136.9 eV/f.u.
energy relative to the lowest polymorph listed for this composition = 0.0000 eV per atom

=====

3.
Computed, not measured: an optimized crystal structure of VP2H4NO7 at the PBE+U level of DFT.

a b c (Å): 7.6353 10.2117 8.3817
angles (deg): 90.00 105.93 90.00
With the nearest neighbours (Å) after each atom.
Space group P2_1/c (No. 14)
One atom of each set of equivalent atoms:
V  0.2389  0.1026  0.2594  6 O 1.99-2.11
P  0.1331  0.0959  0.8299  4 O 1.51-1.63
P  0.4355  0.1317  0.6873  4 O 1.53-1.64
H  0.0443  0.7191  0.0124  1 N 1.03
H  0.1905  0.6120  0.9699  1 N 1.03
H  0.2173  0.6601  0.1663  1 N 1.02
H  0.2599  0.7335  0.5316  1 N 1.03
N  0.1785  0.6895  0.0450  4 H 1.02-1.03
O  0.0037  0.0004  0.2750  1 P 1.53
O  0.0895  0.2360  0.7611  1 P 1.54
O  0.1483  0.0891  0.0136  1 P 1.51
O  0.3205  0.1049  0.5104  1 P 1.53
O  0.3306  0.0550  0.8069  2 P 1.63-1.64
O  0.3742  0.5704  0.7690  1 P 1.53
O  0.4505  0.2241  0.2386  1 P 1.53

Results
total energy after the MP2020 corrections = -106.0 eV/f.u.